# 1
A relaxed YCuPb crystal, computed with r²SCAN.

Results
raw total energy: -177.9 eV for the cell shown
volume: 134.38 Å³ per cell
ΔE_f: -0.5063 eV per atom

Structure (CIF):
```
data_YCuPb
_chemical_formula_sum 'Y2 Cu2 Pb2'
_space_group_name_H-M_alt 'P 1'
_space_group_IT_number 1
_cell_length_a 4.579
_cell_length_b 4.579
_cell_length_c 7.402
_cell_angle_alpha 90.00
_cell_angle_beta 90.00
_cell_angle_gamma 120.00
loop_
_space_group_symop_operation_xyz
'x,y,z'
loop_
_atom_site_label
_atom_site_type_symbol
_atom_site_fract_x
_atom_site_fract_y
_atom_site_fract_z
_atom_site_occupancy
Cu1 Cu 0.333 0.667 0.826 1
Cu2 Cu 0.667 0.333 0.326 1
Y1 Y 0.000 0.000 0.998 1
Y2 Y 0.000 0.000 0.498 1
Pb1 Pb 0.667 0.333 0.728 1
Pb2 Pb 0.333 0.667 0.228 1
```

# 2
A relaxed PaFe3 crystal, computed with r²SCAN.

Results
raw total energy: -238.8 eV for the cell shown
volume: 118.51 Å³ per cell
ΔE_f: 0.1695 eV per atom

Structure (CIF):
```
data_PaFe3
_chemical_formula_sum 'Pa2 Fe6'
_space_group_name_H-M_alt 'P 1'
_space_group_IT_number 1
_cell_length_a 5.303
_cell_length_b 5.303
_cell_length_c 4.866
_cell_angle_alpha 90.00
_cell_angle_beta 90.00
_cell_angle_gamma 120.00
loop_
_space_group_symop_operation_xyz
'x,y,z'
loop_
_atom_site_label
_atom_site_type_symbol
_atom_site_fract_x
_atom_site_fract_y
_atom_site_fract_z
_atom_site_occupancy
Pa1 Pa 0.667 0.333 0.250 1
Pa2 Pa 0.333 0.667 0.750 1
Fe1 Fe 0.157 0.315 0.250 1
Fe2 Fe 0.685 0.843 0.250 1
Fe3 Fe 0.315 0.157 0.750 1
Fe4 Fe 0.157 0.843 0.250 1
Fe5 Fe 0.843 0.157 0.750 1
Fe6 Fe 0.843 0.685 0.750 1
```

# 3
A relaxed HoNi4Au crystal, computed with r²SCAN.

Results
raw total energy: -133.6 eV for the cell shown
volume: 81.61 Å³ per cell
ΔE_f: -0.3757 eV per atom

Structure (CIF):
```
data_HoNi4Au
_chemical_formula_sum 'Ho1 Ni4 Au1'
_space_group_name_H-M_alt 'P 1'
_space_group_IT_number 1
_cell_length_a 4.869
_cell_length_b 4.869
_cell_length_c 4.869
_cell_angle_alpha 60.01
_cell_angle_beta 60.00
_cell_angle_gamma 60.01
loop_
_space_group_symop_operation_xyz
'x,y,z'
loop_
_atom_site_label
_atom_site_type_symbol
_atom_site_fract_x
_atom_site_fract_y
_atom_site_fract_z
_atom_site_occupancy
Ni1 Ni 0.624 0.128 0.624 1
Ni2 Ni 0.624 0.624 0.624 1
Ni3 Ni 0.624 0.624 0.128 1
Ni4 Ni 0.128 0.624 0.624 1
Ho1 Ho 0.000 0.000 0.000 1
Au1 Au 0.250 0.250 0.250 1
```

# 4
A relaxed CeB2Rh3 crystal, computed with r²SCAN.

Results
raw total energy: -122.5 eV for the cell shown
volume: 80.02 Å³ per cell
ΔE_f: -0.7658 eV per atom

Structure (CIF):
```
data_CeB2Rh3
_chemical_formula_sum 'Ce1 B2 Rh3'
_space_group_name_H-M_alt 'P 1'
_space_group_IT_number 1
_cell_length_a 5.495
_cell_length_b 5.495
_cell_length_c 3.060
_cell_angle_alpha 90.00
_cell_angle_beta 90.00
_cell_angle_gamma 120.00
loop_
_space_group_symop_operation_xyz
'x,y,z'
loop_
_atom_site_label
_atom_site_type_symbol
_atom_site_fract_x
_atom_site_fract_y
_atom_site_fract_z
_atom_site_occupancy
Rh1 Rh 0.000 0.500 0.500 1
Rh2 Rh 0.500 0.000 0.500 1
Rh3 Rh 0.500 0.500 0.500 1
B1 B 0.667 0.333 0.000 1
B2 B 0.333 0.667 0.000 1
Ce1 Ce 0.000 0.000 0.000 1
```

# 5
A relaxed SrSn3Sb4 crystal, computed with r²SCAN.

Results
raw total energy: -779.2 eV for the cell shown
volume: 1053.34 Å³ per cell
ΔE_f: -0.3241 eV per atom

Structure (CIF):
```
data_SrSn3Sb4
_chemical_formula_sum 'Sr4 Sn12 Sb16'
_space_group_name_H-M_alt 'P 1'
_space_group_IT_number 1
_cell_length_a 4.400
_cell_length_b 10.208
_cell_length_c 23.451
_cell_angle_alpha 90.00
_cell_angle_beta 90.00
_cell_angle_gamma 90.00
loop_
_space_group_symop_operation_xyz
'x,y,z'
loop_
_atom_site_label
_atom_site_type_symbol
_atom_site_fract_x
_atom_site_fract_y
_atom_site_fract_z
_atom_site_occupancy
Sb1 Sb 0.750 0.709 0.128 1
Sb2 Sb 0.250 0.791 0.628 1
Sb3 Sb 0.750 0.071 0.972 1
Sb4 Sb 0.750 0.537 0.733 1
Sb5 Sb 0.750 0.571 0.528 1
Sb6 Sb 0.250 0.291 0.872 1
Sb7 Sb 0.750 0.037 0.767 1
Sb8 Sb 0.250 0.798 0.407 1
Sb9 Sb 0.250 0.298 0.093 1
Sb10 Sb 0.250 0.963 0.233 1
Sb11 Sb 0.250 0.929 0.028 1
Sb12 Sb 0.250 0.463 0.267 1
Sb13 Sb 0.250 0.429 0.472 1
Sb14 Sb 0.750 0.702 0.907 1
Sb15 Sb 0.750 0.209 0.372 1
Sb16 Sb 0.750 0.202 0.593 1
Sn1 Sn 0.250 0.151 0.512 1
Sn2 Sn 0.750 0.349 0.012 1
Sn3 Sn 0.750 0.460 0.849 1
Sn4 Sn 0.250 0.040 0.349 1
Sn5 Sn 0.250 0.651 0.988 1
Sn6 Sn 0.750 0.277 0.250 1
Sn7 Sn 0.750 0.777 0.250 1
Sn8 Sn 0.250 0.723 0.750 1
Sn9 Sn 0.750 0.960 0.651 1
Sn10 Sn 0.250 0.223 0.750 1
Sn11 Sn 0.250 0.540 0.151 1
Sn12 Sn 0.750 0.849 0.488 1
Sr1 Sr 0.750 0.061 0.131 1
Sr2 Sr 0.250 0.939 0.869 1
Sr3 Sr 0.750 0.561 0.369 1
Sr4 Sr 0.250 0.439 0.631 1
```

# 6
A relaxed KTe2F9 crystal, computed with r²SCAN.

Results
raw total energy: -228.2 eV for the cell shown
volume: 376.95 Å³ per cell
ΔE_f: -2.4242 eV per atom

Structure (CIF):
```
data_KTe2F9
_chemical_formula_sum 'K2 Te4 F18'
_space_group_name_H-M_alt 'P 1'
_space_group_IT_number 1
_cell_length_a 4.681
_cell_length_b 9.247
_cell_length_c 9.340
_cell_angle_alpha 108.82
_cell_angle_beta 95.35
_cell_angle_gamma 96.14
loop_
_space_group_symop_operation_xyz
'x,y,z'
loop_
_atom_site_label
_atom_site_type_symbol
_atom_site_fract_x
_atom_site_fract_y
_atom_site_fract_z
_atom_site_occupancy
Te1 Te 0.879 0.463 0.192 1
Te2 Te 0.356 0.090 0.823 1
Te3 Te 0.644 0.910 0.177 1
Te4 Te 0.121 0.537 0.808 1
F1 F 0.435 0.075 0.153 1
F2 F 0.139 0.600 0.357 1
F3 F 0.227 0.451 0.085 1
F4 F 0.012 0.295 0.237 1
F5 F 0.744 0.739 0.255 1
F6 F 0.856 0.064 0.364 1
F7 F 0.565 0.925 0.847 1
F8 F 0.626 0.089 0.685 1
F9 F 0.302 0.764 0.039 1
F10 F 0.374 0.911 0.315 1
F11 F 0.988 0.705 0.763 1
F12 F 0.353 0.541 0.643 1
F13 F 0.144 0.936 0.636 1
F14 F 0.773 0.549 0.915 1
F15 F 0.647 0.459 0.357 1
F16 F 0.256 0.261 0.745 1
F17 F 0.698 0.236 0.961 1
F18 F 0.861 0.400 0.643 1
K1 K 0.383 0.239 0.457 1
K2 K 0.617 0.761 0.543 1
```

# 7
A relaxed SmCuP2 crystal, computed with r²SCAN.

Results
raw total energy: -124.8 eV for the cell shown
volume: 140.62 Å³ per cell
ΔE_f: -0.9522 eV per atom

Structure (CIF):
```
data_SmCuP2
_chemical_formula_sum 'Sm2 Cu2 P4'
_space_group_name_H-M_alt 'P 1'
_space_group_IT_number 1
_cell_length_a 3.760
_cell_length_b 3.760
_cell_length_c 10.296
_cell_angle_alpha 100.52
_cell_angle_beta 100.52
_cell_angle_gamma 90.00
loop_
_space_group_symop_operation_xyz
'x,y,z'
loop_
_atom_site_label
_atom_site_type_symbol
_atom_site_fract_x
_atom_site_fract_y
_atom_site_fract_z
_atom_site_occupancy
P1 P 0.000 0.500 0.000 1
P2 P 0.677 0.677 0.353 1
P3 P 0.500 0.000 0.000 1
P4 P 0.323 0.323 0.647 1
Cu1 Cu 0.250 0.750 0.500 1
Cu2 Cu 0.750 0.250 0.500 1
Sm1 Sm 0.884 0.884 0.767 1
Sm2 Sm 0.116 0.116 0.233 1
```

# 8
A relaxed Bi2Rh crystal, computed with r²SCAN.

Results
raw total energy: -567.2 eV for the cell shown
volume: 297.65 Å³ per cell
ΔE_f: -0.2228 eV per atom

Structure (CIF):
```
data_Bi2Rh
_chemical_formula_sum 'Bi8 Rh4'
_space_group_name_H-M_alt 'P 1'
_space_group_IT_number 1
_cell_length_a 6.860
_cell_length_b 6.949
_cell_length_c 7.006
_cell_angle_alpha 116.98
_cell_angle_beta 90.00
_cell_angle_gamma 90.00
loop_
_space_group_symop_operation_xyz
'x,y,z'
loop_
_atom_site_label
_atom_site_type_symbol
_atom_site_fract_x
_atom_site_fract_y
_atom_site_fract_z
_atom_site_occupancy
Bi1 Bi 0.858 0.653 0.329 1
Bi2 Bi 0.142 0.347 0.671 1
Bi3 Bi 0.358 0.347 0.171 1
Bi4 Bi 0.141 0.853 0.128 1
Bi5 Bi 0.641 0.147 0.372 1
Bi6 Bi 0.642 0.653 0.829 1
Bi7 Bi 0.859 0.147 0.872 1
Bi8 Bi 0.359 0.853 0.628 1
Rh1 Rh 0.501 0.271 0.786 1
Rh2 Rh 0.001 0.729 0.714 1
Rh3 Rh 0.999 0.271 0.286 1
Rh4 Rh 0.499 0.729 0.214 1
```

# 9
A relaxed CaYbGa2 crystal, computed with r²SCAN.

Results
raw total energy: -68.6 eV for the cell shown
volume: 90.06 Å³ per cell
ΔE_f: -0.5266 eV per atom

Structure (CIF):
```
data_CaYbGa2
_chemical_formula_sum 'Ca1 Yb1 Ga2'
_space_group_name_H-M_alt 'P 1'
_space_group_IT_number 1
_cell_length_a 5.031
_cell_length_b 5.031
_cell_length_c 5.031
_cell_angle_alpha 60.00
_cell_angle_beta 60.00
_cell_angle_gamma 60.00
loop_
_space_group_symop_operation_xyz
'x,y,z'
loop_
_atom_site_label
_atom_site_type_symbol
_atom_site_fract_x
_atom_site_fract_y
_atom_site_fract_z
_atom_site_occupancy
Ga1 Ga 0.250 0.250 0.250 1
Ga2 Ga 0.750 0.750 0.750 1
Yb1 Yb 0.000 0.000 0.000 1
Ca1 Ca 0.500 0.500 0.500 1
```